Entry 1:
Entry from the Materials Project database: crystalline TlH2NCl2 at its relaxed geometry (PBE-GGA).

Unit cell a=8.6412 b=8.6412 c=8.8463 alpha=119.24 beta=119.24 gamma=90.00
Atoms (fractional coordinates):
Tl (0.1250, 0.3750, 0.2500)
Tl (0.1250, 0.8750, 0.2500)
Tl (0.1250, 0.8750, 0.7500)
Tl (0.6250, 0.8750, 0.7500)
H (0.5484, 0.7836, 0.0874)
H (0.5390, 0.3038, 0.0874)
H (0.5538, 0.2984, 0.5874)
H (0.7016, 0.9664, 0.4126)
H (0.0336, 0.2890, 0.5874)
H (0.7110, 0.4462, 0.4126)
H (0.6962, 0.4516, 0.9126)
H (0.2164, 0.4610, 0.9126)
N (0.6250, 0.8750, 0.2500)
N (0.6250, 0.3750, 0.2500)
N (0.6250, 0.3750, 0.7500)
N (0.1250, 0.3750, 0.7500)
Cl (0.3989, 0.1326, 0.2575)
Cl (0.8586, 0.1249, 0.2575)
Cl (0.3749, 0.1489, 0.7575)
Cl (0.8511, 0.6174, 0.2425)
Cl (0.3826, 0.6086, 0.7575)
Cl (0.3914, 0.6251, 0.2425)
Cl (0.8751, 0.6011, 0.7425)
Cl (0.8674, 0.1414, 0.7425)

Values from the calculation:
E_form ... -0.18 eV per atom
Electronic total energy ... -3.50 eV per atom
Size of the total moment ... 2.000 μB per formula unit
Space-group type ... I4_1/a, No. 88



Entry 2:
Entry from the Materials Project database: crystalline ErGaRh at its relaxed geometry (PBE-GGA).

Unit cell a=4.3586 b=6.7593 c=7.7591 alpha=90.00 beta=90.00 gamma=90.00
Atoms (fractional coordinates):
Er (0.2500, 0.9802, 0.3074)
Er (0.2500, 0.4802, 0.1926)
Er (0.7500, 0.0198, 0.6926)
Er (0.7500, 0.5198, 0.8074)
Ga (0.2500, 0.3360, 0.5724)
Ga (0.2500, 0.8360, 0.9276)
Ga (0.7500, 0.6640, 0.4276)
Ga (0.7500, 0.1640, 0.0724)
Rh (0.2500, 0.2292, 0.8955)
Rh (0.2500, 0.7292, 0.6045)
Rh (0.7500, 0.7708, 0.1045)
Rh (0.7500, 0.2708, 0.3955)

Values from the calculation:
E_form ... -0.91 eV per atom
Electronic total energy ... -5.90 eV per atom
Space-group type ... Pnma, No. 62



Entry 3:
Entry from the Materials Project database: crystalline Hg2BrN at its relaxed geometry (PBE-GGA).

Unit cell a=6.7846 b=6.7846 c=11.5009 alpha=90.00 beta=90.00 gamma=120.00
Atoms (fractional coordinates):
Hg (0.5000, 0.0000, 0.5000)
Hg (0.5000, 0.5000, 0.0000)
Hg (0.0000, 0.5000, 0.0000)
Hg (0.0000, 0.5000, 0.5000)
Hg (0.5000, 0.5000, 0.5000)
Hg (0.5000, 0.0000, 0.0000)
Hg (0.6667, 0.3333, 0.7500)
Hg (0.3333, 0.6667, 0.2500)
Br (0.0000, 0.0000, 0.5000)
Br (0.3333, 0.6667, 0.7500)
Br (0.0000, 0.0000, 0.0000)
Br (0.6667, 0.3333, 0.2500)
N (0.3333, 0.6667, 0.0691)
N (0.6667, 0.3333, 0.9309)
N (0.3333, 0.6667, 0.4309)
N (0.6667, 0.3333, 0.5691)

Values from the calculation:
E_form ... 0.14 eV per atom
Electronic total energy ... -2.42 eV per atom
Size of the total moment ... 0.000 μB per formula unit
Space-group type ... P6_3/mmc, No. 194



Entry 4:
Entry from the Materials Project database: crystalline Mg6NbSnO8 at its relaxed geometry (PBE-GGA).

Unit cell a=9.0417 b=4.5022 c=4.5022 alpha=90.00 beta=90.00 gamma=90.00
Atoms (fractional coordinates):
Mg (0.0000, 0.5000, 0.5000)
Mg (0.5000, 0.5000, 0.5000)
Mg (0.2544, 0.0000, 0.5000)
Mg (0.7456, 0.0000, 0.5000)
Mg (0.2544, 0.5000, 0.0000)
Mg (0.7456, 0.5000, 0.0000)
Nb (0.5000, 0.0000, 0.0000)
Sn (0.0000, 0.0000, 0.0000)
O (0.2591, 0.0000, 0.0000)
O (0.7409, 0.0000, 0.0000)
O (0.2497, 0.5000, 0.5000)
O (0.7503, 0.5000, 0.5000)
O (0.0000, 0.0000, 0.5000)
O (0.5000, 0.0000, 0.5000)
O (0.0000, 0.5000, 0.0000)
O (0.5000, 0.5000, 0.0000)

Values from the calculation:
E_form ... -2.37 eV per atom
Energy above the most stable polymorph in this dataset ... 37 meV per atom
Electronic total energy ... -5.98 eV per atom
Size of the total moment ... 2.556 μB per formula unit
Space-group type ... P4/mmm, No. 123



Entry 5:
Entry from the Materials Project database: crystalline Ba6MgNb2IrCl2O12 at its relaxed geometry (PBE-GGA).

Unit cell a=6.2623 b=6.2652 c=15.3261 alpha=99.17 beta=80.80 gamma=123.32
Atoms (fractional coordinates):
Ba (0.3090, 0.6926, 0.3543)
Ba (0.3342, 0.6673, 0.7666)
Ba (0.6921, 0.3099, 0.6366)
Ba (0.6040, 0.3982, 0.8912)
Ba (0.3601, 0.6417, 0.0916)
Ba (0.6570, 0.3447, 0.2324)
Mg (0.7774, 0.2246, 0.0189)
Nb (0.9798, 0.0215, 0.8181)
Nb (0.0241, 0.9779, 0.1743)
Ir (0.0316, 0.9665, 0.0018)
Cl (0.6876, 0.3128, 0.4317)
Cl (0.3046, 0.6965, 0.5690)
O (0.1278, 0.2998, 0.9381)
O (0.3013, 0.2186, 0.7486)
O (0.2076, 0.3027, 0.2410)
O (0.7830, 0.7010, 0.7482)
O (0.8186, 0.1838, 0.7747)
O (0.8972, 0.6216, 0.0616)
O (0.1744, 0.8251, 0.2323)
O (0.3731, 0.0977, 0.0632)
O (0.8544, 0.1448, 0.1211)
O (0.6999, 0.8742, 0.9376)
O (0.6982, 0.7920, 0.2409)
O (0.1364, 0.8614, 0.8705)

Values from the calculation:
E_form ... -2.72 eV per atom
Energy above the most stable polymorph in this dataset ... 90 meV per atom
Electronic total energy ... -6.76 eV per atom
Size of the total moment ... 0.998 μB per formula unit
Space-group type ... P1, No. 1



Entry 6:
Entry from the Materials Project database: crystalline YMg at its relaxed geometry (PBE-GGA).

Unit cell a=8.9404 b=8.9404 c=5.4930 alpha=90.00 beta=90.00 gamma=157.61
Atoms (fractional coordinates):
Y (0.9899, 0.0101, 0.0000)
Y (0.6658, 0.3342, 0.0000)
Y (0.7883, 0.2117, 0.5000)
Mg (0.3318, 0.6682, 0.0000)
Mg (0.1086, 0.8914, 0.5000)
Mg (0.4489, 0.5511, 0.5000)

Values from the calculation:
E_form ... -0.02 eV per atom
Electronic total energy ... -4.06 eV per atom
Size of the total moment ... 0.033 μB per formula unit
Space-group type ... Amm2, No. 38